## BaSb2 (PBE-GGA)

Data for a relaxed BaSb2 crystal.

Properties
Total DFT energy (no corrections) (eV for the cell shown): -23.08
Formation energy from the elements (eV/atom): -0.58

Unit cell a=5.7276 b=10.3505 c=3.6077 alpha=90.00 beta=90.00 gamma=90.00
Last column: nearest neighbours and their distance in Å.
Space group Cmmm (No. 65)
One atom of each set of equivalent atoms:
1 Ba 0.0000 0.0000 0.0000 x2  12 Sb 3.59-3.97, 2 Ba 3.61
2 Sb 0.0000 0.3000 0.5000 x4  2 Sb 3.04

## CeY (PBE-GGA)

Data for a relaxed CeY crystal.

Properties
Total DFT energy (no corrections) (eV for the cell shown): -12.18
Formation energy from the elements (eV/atom): 0.11

Unit cell a=3.5181 b=3.5181 c=5.7815 alpha=90.00 beta=90.00 gamma=120.00
Last column: nearest neighbours and their distance in Å.
Space group P-6m2 (No. 187)
One atom of each set of equivalent atoms:
1 Ce 0.0000 0.0000 0.0000 x1  6 Ce 3.52, 6 Y 3.53
2 Y 0.3333 0.6667 0.5000 x1  6 Y 3.52, 6 Ce 3.53

## LiCuPO4 (PBE-GGA)

Data for a relaxed LiCuPO4 crystal.

Properties
Total DFT energy (no corrections) (eV for the cell shown): -87.18
E above lowest polymorph (meV per atom): 36.0
Formation energy from the elements (eV/atom): -2.16

Unit cell a=5.0478 b=5.3674 c=7.8878 alpha=90.00 beta=129.12 gamma=90.00
Last column: nearest neighbours and their distance in Å.
Space group Pc (No. 7)
One atom of each set of equivalent atoms:
1 Li 0.0000 0.1644 0.0000 x2  4 O 1.93-1.99
2 Cu 0.7426 0.3179 0.2541 x2  4 O 1.94-2.08
3 P 0.2571 0.3496 0.7529 x2  4 O 1.54-1.56
4 O 0.1306 0.3826 0.2360 x2  1 P 1.54
5 O 0.3469 0.2159 0.9590 x2  1 P 1.56
6 O 0.5804 0.3550 0.7697 x2  1 P 1.55
7 O 0.9778 0.1912 0.5484 x2  1 P 1.56

## Sm2IrRu (PBE-GGA)

Data for a relaxed Sm2IrRu crystal.

Properties
Total DFT energy (no corrections) (eV for the cell shown): -117.02
Formation energy from the elements (eV/atom): -0.43

Unit cell a=6.9685 b=6.9685 c=6.9685 alpha=90.00 beta=90.00 gamma=90.00
Last column: nearest neighbours and their distance in Å.
Space group Fm-3m (No. 225)
One atom of each set of equivalent atoms:
1 Sm 0.2500 0.2500 0.2500 x8  4 Ru 3.02, 4 Ir 3.02
2 Ir 0.0000 0.0000 0.0000 x4  8 Sm 3.02
3 Ru 0.0000 0.0000 0.5000 x4  8 Sm 3.02